Entry from the Materials Project: a relaxed structure of Na6MgZr7Si6S6O48 (PBE). Values from VASP.

Properties
The calculation puts the formation enthalpy at 0 K at -2844 meV/atom. Its space group is P1 (1). Its crystal system is triclinic. For the energy, the calculation gives -1625.13 eV for the cell shown.

Structure (Quantum ESPRESSO input):
```
&SYSTEM
  ibrav = 0, nat = 222, ntyp = 6
/
ATOMIC_SPECIES
Na 22.99 Na.upf
Mg 24.30 Mg.upf
Zr 91.22 Zr.upf
Si 28.09 Si.upf
S 32.06 S.upf
O 16.00 O.upf
ATOMIC_POSITIONS crystal
Na 0.6865 0.3784 0.2513
Na 0.9955 0.6446 0.2516
Na 0.9972 0.3554 0.7519
Na 0.4933 0.3590 0.7478
Na 0.1924 0.0178 0.7519
Na 0.6845 0.0093 0.7492
Na 0.9982 0.9984 0.4918
Na 0.5057 0.0015 0.4986
Na 0.0094 0.0138 0.9984
Na 0.5024 0.9903 0.9975
Na 0.3309 0.3330 0.8256
Na 0.8287 0.3269 0.8283
Na 0.3335 0.3313 0.3299
Na 0.8336 0.3343 0.3356
Na 0.1708 0.6665 0.1653
Na 0.6640 0.6642 0.1719
Na 0.1762 0.6674 0.6696
Na 0.6695 0.6640 0.6673
Mg 0.3334 0.3383 0.6915
Mg 0.8263 0.3280 0.6863
Mg 0.8345 0.3384 0.1852
Zr 0.9998 0.9859 0.3561
Zr 0.5038 0.0115 0.3559
Zr 0.0079 0.0221 0.8547
Zr 0.5043 0.9994 0.8472
Zr 0.9972 0.0060 0.6494
Zr 0.4998 0.0019 0.6534
Zr 0.0047 0.9960 0.1504
Zr 0.5003 0.0022 0.1468
Zr 0.3340 0.3382 0.1864
Zr 0.3255 0.3318 0.9835
Zr 0.8332 0.3243 0.9759
Zr 0.3351 0.3463 0.4776
Zr 0.8313 0.3309 0.4740
Zr 0.1598 0.6555 0.0178
Zr 0.6599 0.6738 0.0204
Zr 0.1611 0.6556 0.5171
Zr 0.6665 0.6696 0.5134
Zr 0.1633 0.6614 0.3163
Zr 0.6678 0.6637 0.3170
Zr 0.1711 0.6710 0.8163
Zr 0.6705 0.6789 0.8099
Si 0.1491 0.0021 0.2518
Si 0.8523 0.7043 0.2479
Si 0.4989 0.2936 0.2499
Si 0.1490 0.2973 0.7483
Si 0.6506 0.2971 0.7493
Si 0.4959 0.7010 0.7492
Si 0.3524 0.9989 0.7503
Si 0.8561 0.0064 0.7501
Si 0.4768 0.6240 0.0832
Si 0.1841 0.3345 0.0854
Si 0.0210 0.3772 0.9149
Si 0.1677 0.9606 0.9170
Si 0.6622 0.9580 0.9157
Si 0.8132 0.9562 0.4158
Si 0.1654 0.3718 0.4157
Si 0.6656 0.3768 0.4171
Si 0.0210 0.6659 0.4173
Si 0.5218 0.6692 0.4154
S 0.6463 0.0018 0.2485
S 0.3553 0.7123 0.2506
S 0.9981 0.2900 0.2490
S 0.9978 0.7072 0.7496
S 0.4782 0.3332 0.5845
S 0.9775 0.3346 0.5850
S 0.1887 0.0423 0.5846
S 0.6880 0.0424 0.5846
S 0.3336 0.6244 0.5844
S 0.8334 0.6213 0.5849
S 0.9766 0.6208 0.0844
S 0.3332 0.0419 0.0832
S 0.8337 0.0453 0.0845
S 0.6898 0.3347 0.0840
S 0.3139 0.6693 0.9182
S 0.8113 0.6661 0.9182
S 0.5206 0.3747 0.9171
S 0.3112 0.9563 0.4177
O 0.1012 0.0277 0.3057
O 0.6061 0.0290 0.2996
O 0.4068 0.7922 0.3016
O 0.9162 0.7952 0.3023
O 0.4882 0.1677 0.3038
O 0.9865 0.1905 0.3008
O 0.1021 0.1710 0.8034
O 0.6044 0.1715 0.8044
O 0.4853 0.7947 0.8055
O 0.9857 0.7846 0.8007
O 0.4138 0.0306 0.8057
O 0.9163 0.0293 0.8048
O 0.3977 0.9653 0.6946
O 0.8991 0.9696 0.6936
O 0.0822 0.1979 0.6945
O 0.5855 0.2085 0.6946
O 0.0136 0.8185 0.6983
O 0.5206 0.8338 0.6949
O 0.3971 0.8163 0.1985
O 0.9002 0.8264 0.1921
O 0.0128 0.2129 0.1978
O 0.5132 0.1918 0.1954
O 0.0858 0.9617 0.1956
O 0.5916 0.9776 0.1973
O 0.4379 0.3525 0.6359
O 0.9403 0.3573 0.6372
O 0.2387 0.1210 0.6362
O 0.7382 0.1218 0.6366
O 0.3211 0.5189 0.6344
O 0.8244 0.5191 0.6360
O 0.4350 0.5077 0.1393
O 0.9383 0.5193 0.1364
O 0.3211 0.1204 0.1348
O 0.8203 0.1260 0.1350
O 0.2458 0.3585 0.1393
O 0.7389 0.3538 0.1365
O 0.2297 0.3051 0.0287
O 0.7305 0.3102 0.0332
O 0.4214 0.5331 0.0261
O 0.9244 0.5360 0.0332
O 0.3478 0.1470 0.0319
O 0.8430 0.1500 0.0324
O 0.2294 0.1462 0.5329
O 0.7308 0.1476 0.5336
O 0.3431 0.5403 0.5319
O 0.8446 0.5415 0.5330
O 0.4253 0.3129 0.5328
O 0.9272 0.3136 0.5337
O 0.2712 0.6884 0.9688
O 0.7697 0.6869 0.9693
O 0.0796 0.4645 0.9712
O 0.5761 0.4615 0.9681
O 0.1581 0.8414 0.9724
O 0.6553 0.8405 0.9714
O 0.2710 0.8510 0.4689
O 0.7679 0.8400 0.4728
O 0.1580 0.4743 0.4719
O 0.6503 0.4621 0.4733
O 0.0826 0.6931 0.4722
O 0.5784 0.6983 0.4730
O 0.0648 0.6383 0.3597
O 0.5635 0.6356 0.3595
O 0.2596 0.8796 0.3657
O 0.7523 0.8730 0.3602
O 0.1851 0.4995 0.3611
O 0.6817 0.4830 0.3580
O 0.0626 0.4875 0.8571
O 0.5616 0.4774 0.8652
O 0.1803 0.8716 0.8589
O 0.6806 0.8734 0.8600
O 0.2610 0.6414 0.8660
O 0.7586 0.6360 0.8665
O 0.0133 0.8351 0.4142
O 0.5053 0.8301 0.4077
O 0.3960 0.9722 0.4112
O 0.9074 0.9810 0.4097
O 0.0810 0.1899 0.4108
O 0.5815 0.1853 0.4110
O 0.0077 0.1853 0.9129
O 0.5122 0.2041 0.9133
O 0.0801 0.9696 0.9109
O 0.5784 0.9788 0.9139
O 0.3978 0.8229 0.9124
O 0.8969 0.8156 0.9112
O 0.4871 0.1768 0.5872
O 0.9889 0.1805 0.5890
O 0.1007 0.0188 0.5897
O 0.6014 0.0247 0.5881
O 0.4110 0.7962 0.5873
O 0.9120 0.7959 0.5902
O 0.4909 0.8180 0.0914
O 0.9853 0.7931 0.0881
O 0.4108 0.0231 0.0903
O 0.9099 0.0283 0.0888
O 0.0888 0.1651 0.0903
O 0.6024 0.1794 0.0894
O 0.3437 0.1663 0.7419
O 0.8494 0.1772 0.7417
O 0.2371 0.3012 0.7412
O 0.7407 0.3052 0.7430
O 0.4192 0.5110 0.7427
O 0.9254 0.5343 0.7406
O 0.3461 0.5412 0.2446
O 0.8436 0.5139 0.2413
O 0.4143 0.3094 0.2437
O 0.9244 0.3171 0.2405
O 0.2421 0.1680 0.2426
O 0.7300 0.1585 0.2406
O 0.3221 0.5140 0.9228
O 0.8203 0.5111 0.9263
O 0.4364 0.3604 0.9244
O 0.9276 0.3618 0.9255
O 0.2539 0.1492 0.9234
O 0.7482 0.1462 0.9262
O 0.3209 0.1280 0.4253
O 0.8214 0.1437 0.4263
O 0.2506 0.3536 0.4265
O 0.7484 0.3526 0.4249
O 0.4276 0.4961 0.4263
O 0.9287 0.4963 0.4253
O 0.1789 0.5100 0.0778
O 0.6798 0.4867 0.0760
O 0.0636 0.6426 0.0782
O 0.5733 0.6442 0.0767
O 0.2583 0.8697 0.0767
O 0.7571 0.8712 0.0761
O 0.1797 0.8684 0.5772
O 0.6786 0.8689 0.5791
O 0.2571 0.6460 0.5765
O 0.7574 0.6434 0.5796
O 0.0661 0.4882 0.5788
O 0.5647 0.4868 0.5783
O 0.1528 0.8219 0.2565
O 0.6539 0.8485 0.2534
O 0.2698 0.6962 0.2550
O 0.7567 0.6802 0.2527
O 0.0761 0.4672 0.2544
O 0.5875 0.4755 0.2537
O 0.1473 0.4762 0.7549
O 0.6501 0.4754 0.7589
O 0.0777 0.6939 0.7544
O 0.5847 0.6909 0.7578
O 0.2553 0.8311 0.7551
O 0.7601 0.8384 0.7544
CELL_PARAMETERS angstrom
-10.3826 -10.3166 10.6714
8.8290 0.8588 1.7574
-4.4889 18.6243 13.5820
```


Entry from the Materials Project: a relaxed structure of ZnCu2Bi2O8 (PBE). Values from VASP.

Properties
The calculation puts the formation enthalpy at 0 K at -1149 meV/atom. Its space group is P2_1/c (14). Its crystal system is monoclinic. For the energy, the calculation gives -265.08 eV for the cell shown.

Structure (Quantum ESPRESSO input):
```
&SYSTEM
  ibrav = 0, nat = 52, ntyp = 4
/
ATOMIC_SPECIES
Zn 65.41 Zn.upf
Cu 63.55 Cu.upf
Bi 208.98 Bi.upf
O 16.00 O.upf
ATOMIC_POSITIONS crystal
Zn 0.8523 0.8948 0.0481
Zn 0.1477 0.1052 0.9519
Zn 0.3523 0.1052 0.4519
Zn 0.6477 0.8948 0.5481
Cu 0.8053 0.2505 0.8899
Cu 0.9368 0.6445 0.6133
Cu 0.0632 0.3555 0.3867
Cu 0.1947 0.7495 0.1101
Cu 0.6947 0.2505 0.3899
Cu 0.5632 0.6445 0.1133
Cu 0.3053 0.7495 0.6101
Cu 0.4368 0.3555 0.8867
Bi 0.5593 0.8971 0.8336
Bi 0.9407 0.8971 0.3336
Bi 0.9013 0.3700 0.1378
Bi 0.0593 0.1029 0.6664
Bi 0.0987 0.6300 0.8622
Bi 0.4013 0.6300 0.3622
Bi 0.5987 0.3700 0.6378
Bi 0.4407 0.1029 0.1664
O 0.7361 0.9669 0.4077
O 0.9604 0.3641 0.5943
O 0.4303 0.8026 0.4961
O 0.9303 0.1974 0.0039
O 0.7639 0.9669 0.9077
O 0.2639 0.0331 0.5923
O 0.8808 0.9223 0.6094
O 0.1286 0.4858 0.1433
O 0.3714 0.4858 0.6433
O 0.1183 0.7147 0.6812
O 0.6183 0.2853 0.8188
O 0.8714 0.5142 0.8567
O 0.1192 0.0777 0.3906
O 0.4582 0.1173 0.3138
O 0.7381 0.6108 0.5647
O 0.7619 0.6108 0.0647
O 0.9582 0.8827 0.1862
O 0.6286 0.5142 0.3567
O 0.5418 0.8827 0.6862
O 0.5697 0.1974 0.5039
O 0.5396 0.3641 0.0943
O 0.8817 0.2853 0.3188
O 0.2361 0.0331 0.0923
O 0.6192 0.9223 0.1094
O 0.0697 0.8026 0.9961
O 0.2381 0.3892 0.9353
O 0.0396 0.6359 0.4057
O 0.4604 0.6359 0.9057
O 0.3808 0.0777 0.8906
O 0.2619 0.3892 0.4353
O 0.3817 0.7147 0.1812
O 0.0418 0.1173 0.8138
CELL_PARAMETERS angstrom
8.6073 0.0000 0.0000
0.0000 6.4319 0.0000
0.0000 0.8045 13.7695
```